VASP calculation (PBE) on an optimized crystal structure of Ba4MgCu4O8.

## Properties
formation energy from the elements: -1.95 eV/atom
V: 21.4 Å³/atom
polymorph energy (0 for the lowest one): 0.000 eV/f.u.

a b c (Å): 3.9070 6.2277 15.2625
angles (deg): 83.83 88.65 80.47
Closest atoms and distances in Å follow each position.
Space group P1 (No. 1)
Unique sites:
Ba 0.0000 0.0000 0.0000  5 O 2.64-2.78
Ba 0.0797 0.8643 0.6248  5 O 2.64-2.78
Ba 0.1904 0.5994 0.3981  4 O 2.56-2.85
Ba 0.8904 0.2649 0.2267  4 O 2.56-2.85
Mg 0.5393 0.9317 0.8125  4 O 1.97-2.05
Cu 0.5170 0.0170 0.4292  2 O 1.78-1.81
Cu 0.5384 0.5018 0.8862  2 O 1.83-1.84
Cu 0.5388 0.3617 0.7388  2 O 1.83-1.84
Cu 0.5633 0.8472 0.1956  2 O 1.78-1.81
O 0.3840 0.2249 0.3419  1 Cu 1.78
O 0.4546 0.0862 0.1165  1 Cu 1.81
O 0.5288 0.6494 0.7559  1 Cu 1.83, 1 Mg 2.05
O 0.5363 0.0974 0.6951  1 Cu 1.84, 1 Mg 1.97
O 0.5433 0.7657 0.9299  1 Cu 1.84, 1 Mg 1.97
O 0.5466 0.2141 0.8694  1 Cu 1.83, 1 Mg 2.05
O 0.6257 0.7780 0.5083  1 Cu 1.81
O 0.6969 0.6395 0.2828  1 Cu 1.78